No. 1
First-principles (PBE) data for a relaxed structure of Na3CuB8H17O23, as listed in Materials Project.

The structure in POSCAR format:
```
Na3CuB8H17O23
1.0
9.207 0.000 0.000
-3.655 10.191 0.000
-4.062 -4.347 10.263
Na Cu B H O
6 2 16 34 46
direct
0.148 0.915 0.124 Na
0.852 0.085 0.876 Na
0.150 0.954 0.633 Na
0.850 0.046 0.367 Na
0.426 0.777 0.131 Na
0.574 0.223 0.869 Na
0.461 0.513 0.617 Cu
0.539 0.487 0.383 Cu
0.765 0.779 0.416 B
0.235 0.221 0.584 B
0.779 0.553 0.278 B
0.221 0.447 0.722 B
0.469 0.690 0.853 B
0.531 0.310 0.147 B
0.764 0.753 0.836 B
0.236 0.247 0.164 B
0.741 0.758 0.621 B
0.259 0.242 0.379 B
0.750 0.876 0.037 B
0.250 0.124 0.963 B
0.201 0.658 0.676 B
0.799 0.342 0.324 B
0.983 0.800 0.328 B
0.017 0.200 0.672 B
0.081 0.731 0.909 H
0.919 0.269 0.091 H
0.340 0.521 0.985 H
0.660 0.479 0.015 H
0.651 0.258 0.555 H
0.349 0.742 0.445 H
0.995 0.362 0.476 H
0.005 0.638 0.524 H
0.456 0.517 0.115 H
0.544 0.483 0.885 H
0.900 0.452 0.620 H
0.100 0.548 0.380 H
0.563 0.829 0.394 H
0.437 0.171 0.606 H
0.153 0.993 0.370 H
0.847 0.007 0.630 H
0.500 0.053 0.346 H
0.500 0.947 0.654 H
0.798 0.512 0.681 H
0.202 0.488 0.319 H
0.957 0.048 0.186 H
0.043 0.952 0.814 H
0.520 0.086 0.230 H
0.480 0.914 0.770 H
0.025 0.639 0.166 H
0.975 0.361 0.834 H
0.656 0.122 0.576 H
0.344 0.878 0.424 H
0.256 0.805 0.900 H
0.744 0.195 0.100 H
0.802 0.597 0.886 H
0.198 0.403 0.114 H
0.157 0.593 0.142 H
0.843 0.407 0.858 H
0.536 0.993 0.747 O
0.464 0.007 0.253 O
0.218 0.567 0.390 O
0.782 0.433 0.610 O
0.105 0.656 0.127 O
0.895 0.344 0.873 O
0.423 0.847 0.475 O
0.577 0.153 0.525 O
0.208 0.795 0.962 O
0.792 0.205 0.038 O
0.354 0.532 0.075 O
0.646 0.468 0.925 O
0.843 0.653 0.838 O
0.157 0.347 0.162 O
0.110 0.715 0.603 O
0.890 0.285 0.397 O
0.127 0.893 0.324 O
0.873 0.107 0.676 O
0.837 0.980 0.163 O
0.163 0.020 0.837 O
0.636 0.822 0.350 O
0.364 0.178 0.650 O
0.810 0.829 0.754 O
0.190 0.171 0.246 O
0.130 0.513 0.642 O
0.870 0.487 0.358 O
0.817 0.830 0.558 O
0.183 0.170 0.442 O
0.606 0.622 0.554 O
0.394 0.378 0.446 O
0.712 0.624 0.358 O
0.288 0.376 0.642 O
0.909 0.657 0.258 O
0.091 0.343 0.742 O
0.574 0.673 0.784 O
0.426 0.327 0.216 O
0.576 0.790 0.990 O
0.424 0.210 0.010 O
0.841 0.863 0.969 O
0.159 0.137 0.031 O
0.357 0.751 0.783 O
0.643 0.249 0.217 O
0.924 0.858 0.407 O
0.076 0.142 0.593 O
0.362 0.552 0.847 O
0.638 0.448 0.153 O
```

Output
- total moment (Bohr magnetons per cell) = 0.0
- formation energy from the elements (kJ/mol of atoms) = -189

***

No. 2
First-principles (PBE) data for a relaxed structure of PuPbO3, as listed in Materials Project.

The structure in POSCAR format:
```
PuPbO3
1.0
-3.098 0.182 -3.059
-1.748 -3.678 1.552
-2.517 2.330 2.688
Pu Pb O
1 1 3
direct
0.500 0.500 0.500 Pu
0.000 0.000 0.000 Pb
0.500 0.500 0.000 O
0.500 0.000 0.500 O
0.000 0.500 0.500 O
```

Output
- total moment (Bohr magnetons per cell) = 4.0
- formation energy from the elements (kJ/mol of atoms) = -247

***

No. 3
First-principles (PBE) data for a relaxed structure of Sm2Fe14C, as listed in Materials Project.

The structure in POSCAR format:
```
Sm2Fe14C
1.0
-0.859 8.606 1.178
-4.995 -1.458 7.009
9.632 0.022 6.868
Sm Fe C
8 56 4
direct
0.239 0.761 0.500 Sm
0.761 0.239 0.500 Sm
0.261 0.261 0.000 Sm
0.739 0.739 0.000 Sm
0.643 0.643 0.500 Sm
0.357 0.357 0.500 Sm
0.857 0.143 0.000 Sm
0.143 0.857 0.000 Sm
0.000 0.500 0.500 Fe
0.500 0.000 0.000 Fe
0.500 0.000 0.500 Fe
0.000 0.500 0.000 Fe
0.500 0.500 0.107 Fe
0.000 0.000 0.607 Fe
0.500 0.500 0.893 Fe
0.000 0.000 0.393 Fe
0.183 0.817 0.255 Fe
0.817 0.183 0.255 Fe
0.317 0.317 0.755 Fe
0.683 0.683 0.755 Fe
0.817 0.183 0.745 Fe
0.183 0.817 0.745 Fe
0.683 0.683 0.245 Fe
0.317 0.317 0.245 Fe
0.403 0.597 0.294 Fe
0.597 0.403 0.294 Fe
0.097 0.097 0.794 Fe
0.903 0.903 0.794 Fe
0.597 0.403 0.706 Fe
0.403 0.597 0.706 Fe
0.903 0.903 0.206 Fe
0.097 0.097 0.206 Fe
0.141 0.536 0.324 Fe
0.859 0.464 0.324 Fe
0.359 0.036 0.824 Fe
0.641 0.964 0.824 Fe
0.859 0.464 0.676 Fe
0.141 0.536 0.676 Fe
0.641 0.964 0.176 Fe
0.359 0.036 0.176 Fe
0.536 0.141 0.324 Fe
0.464 0.859 0.324 Fe
0.036 0.359 0.824 Fe
0.964 0.641 0.824 Fe
0.464 0.859 0.676 Fe
0.536 0.141 0.676 Fe
0.964 0.641 0.176 Fe
0.036 0.359 0.176 Fe
0.935 0.726 0.379 Fe
0.065 0.274 0.379 Fe
0.565 0.226 0.879 Fe
0.435 0.774 0.879 Fe
0.065 0.274 0.621 Fe
0.935 0.726 0.621 Fe
0.435 0.774 0.121 Fe
0.565 0.226 0.121 Fe
0.726 0.935 0.379 Fe
0.274 0.065 0.379 Fe
0.226 0.565 0.879 Fe
0.774 0.435 0.879 Fe
0.274 0.065 0.621 Fe
0.726 0.935 0.621 Fe
0.774 0.435 0.121 Fe
0.226 0.565 0.121 Fe
0.873 0.873 0.500 C
0.127 0.127 0.500 C
0.627 0.373 0.000 C
0.373 0.627 0.000 C
```

Output
- total moment (Bohr magnetons per cell) = 120.9
- formation energy from the elements (kJ/mol of atoms) = -3